# 1
PrDy3: relaxed, GGA-PBE.

The space group is I4/mmm (No. 139) and the conventional cell measures 5.084, 5.084 and 10.101 Å, with angles of 90.00, 90.00 and 90.00 degrees. The asymmetric unit holds Pr at (0.000, 0.000, 0.000), Dy at (0.000, 0.000, 0.500) and Dy at (0.000, 0.500, 0.250).

Its polymorph energy (0 for the lowest one) is 6 meV per atom.

# 2
Pr3Dy: relaxed, GGA-PBE.

The space group is P6_3/mmc (No. 194) and the conventional cell measures 7.3724, 7.3724 and 6.0321 Å, with angles of 90.00, 90.00 and 120.00 degrees. The asymmetric unit holds Pr at (0.1675, 0.3350, 0.2500) and Dy at (0.3333, 0.6667, 0.7500).

Its polymorph energy (0 for the lowest one) is 21 meV per atom.

# 3
Pr3Dy: relaxed, GGA-PBE.

The space group is Pm-3m (No. 221) and the conventional cell measures 5.193, 5.193 and 5.193 Å, with angles of 90.00, 90.00 and 90.00 degrees. The asymmetric unit holds Pr at (0.000, 0.000, 0.500) and Dy at (0.500, 0.500, 0.500).

Its polymorph energy (0 for the lowest one) is 0 meV per atom.

# 4
PrDy3: relaxed, GGA-PBE.

The space group is P6_3/mmc (No. 194) and the conventional cell measures 7.2767, 7.2767 and 5.8048 Å, with angles of 90.00, 90.00 and 120.00 degrees. The asymmetric unit holds Pr at (0.3333, 0.6667, 0.2500) and Dy at (0.1650, 0.3300, 0.7500).

Its polymorph energy (0 for the lowest one) is 3 meV per atom.

# 5
Dy4Pt: relaxed, GGA-PBE.

The space group is Fd-3m (No. 227, origin choice 2) and the conventional cell measures 10.972, 10.972 and 10.972 Å, with angles of 90.00, 90.00 and 90.00 degrees. The asymmetric unit holds Dy at (0.014, 0.014, 0.236) and Pt at (0.125, 0.125, 0.625).

For the total magnetization, the calculation gives 0.03 μB/atom. Its calculated total energy is -4.9280 eV/atom.

# 6
Dy5Pt4: relaxed, GGA-PBE.

The space group is Pnma (No. 62) and the conventional cell measures 7.476, 14.956 and 7.545 Å, with angles of 90.00, 90.00 and 90.00 degrees. The asymmetric unit holds Dy at (0.034, 0.098, 0.173), Dy at (0.120, 0.619, 0.335), Dy at (0.215, 0.250, 0.492), Pt at (0.085, 0.250, 0.882), Pt at (0.148, 0.750, 0.642) and Pt at (0.212, 0.044, 0.523).

Its calculated total energy is -6.4177 eV/atom.